# Mg6FeBi

A geometry-optimized Mg6FeBi structure (PBE-GGA, Materials Project).

a b c (Å): 5.0050 6.3294 10.9297
angles (deg): 90.00 90.00 90.00
Closest atoms and distances in Å follow each position.
Atoms (fractional coordinates):
Mg: 0.0000 0.2367 0.0771  1 Fe 2.92, 7 Mg 3.00-3.18, 2 Bi 3.18
Mg: 0.0000 0.7633 0.0771  1 Fe 2.92, 7 Mg 3.00-3.18, 2 Bi 3.18
Mg: 0.0000 0.5000 0.8340  10 Mg 3.09-3.18, 2 Fe 3.17
Mg: 0.5000 0.2378 0.9126  2 Fe 3.01, 8 Mg 3.01-3.32, 2 Bi 3.04-3.27
Mg: 0.5000 0.7622 0.9126  2 Fe 3.01, 8 Mg 3.01-3.32, 2 Bi 3.04-3.27
Mg: 0.5000 0.5000 0.6685  10 Mg 3.08-3.18, 2 Bi 3.16
Mg: 0.0000 0.7367 0.5771  1 Fe 2.92, 7 Mg 3.00-3.18, 2 Bi 3.18
Mg: 0.0000 0.2633 0.5771  1 Fe 2.92, 7 Mg 3.00-3.18, 2 Bi 3.18
Mg: 0.0000 0.0000 0.3340  10 Mg 3.09-3.18, 2 Fe 3.17
Mg: 0.5000 0.7378 0.4126  2 Fe 3.01, 8 Mg 3.01-3.32, 2 Bi 3.04-3.27
Mg: 0.5000 0.2622 0.4126  2 Fe 3.01, 8 Mg 3.01-3.32, 2 Bi 3.04-3.27
Mg: 0.5000 0.0000 0.1685  10 Mg 3.08-3.18, 2 Bi 3.16
Fe: 0.0000 0.5000 0.3474  8 Mg 2.92-3.17, 2 Bi 3.16
Fe: 0.0000 0.0000 0.8474  8 Mg 2.92-3.17, 2 Bi 3.16
Bi: 0.5000 0.5000 0.1708  10 Mg 3.04-3.27, 2 Fe 3.16
Bi: 0.5000 0.0000 0.6708  10 Mg 3.04-3.27, 2 Fe 3.16

Output
**ΔE_f**: 0.12 eV per atom
**VASP energy**: -2.62 eV/atom
**Relative energy among the computed polymorphs**: 0.000 eV per atom
**Total moment**: 0.297 μB/atom

# Pr6Fe13Bi

A geometry-optimized Pr6Fe13Bi structure (PBE-GGA, Materials Project).

a b c (Å): 8.1393 8.1393 13.2339
angles (deg): 107.91 107.91 90.00
Closest atoms and distances in Å follow each position.
Atoms (fractional coordinates):
Pr: 0.6027 0.6027 0.2054  12 Fe 3.04-3.29
Pr: 0.1027 0.1027 0.2054  12 Fe 3.04-3.29
Pr: 0.3973 0.3973 0.7946  12 Fe 3.04-3.29
Pr: 0.8973 0.8973 0.7946  12 Fe 3.04-3.29
Pr: 0.9770 0.4770 0.6326  3 Fe 3.01-3.14
Pr: 0.6556 0.1556 0.6326  3 Fe 3.01-3.14
Pr: 0.1556 0.9770 0.6326  3 Fe 3.01-3.14
Pr: 0.4770 0.6556 0.6326  3 Fe 3.01-3.14
Pr: 0.0230 0.5230 0.3674  3 Fe 3.01-3.14
Pr: 0.3444 0.8444 0.3674  3 Fe 3.01-3.14
Pr: 0.8444 0.0230 0.3674  3 Fe 3.01-3.14
Pr: 0.5230 0.3444 0.3674  3 Fe 3.01-3.14
Fe: 0.0000 0.5000 0.0000  12 Fe 2.42-2.56
Fe: 0.5000 0.0000 0.0000  12 Fe 2.42-2.56
Fe: 0.7106 0.5672 0.0000  10 Fe 2.42-2.65
Fe: 0.2894 0.4328 0.0000  10 Fe 2.42-2.65
Fe: 0.7894 0.0672 0.0000  10 Fe 2.42-2.65
Fe: 0.2106 0.9328 0.0000  10 Fe 2.42-2.65
Fe: 0.5672 0.2894 0.0000  10 Fe 2.42-2.65
Fe: 0.4328 0.7106 0.0000  10 Fe 2.42-2.65
Fe: 0.0672 0.2106 0.0000  10 Fe 2.42-2.65
Fe: 0.9328 0.7894 0.0000  10 Fe 2.42-2.65
Fe: 0.1205 0.6205 0.8845  9 Fe 2.47-2.75
Fe: 0.7641 0.2641 0.8845  9 Fe 2.47-2.75
Fe: 0.2641 0.1205 0.8845  9 Fe 2.47-2.75
Fe: 0.6205 0.7641 0.8845  9 Fe 2.47-2.75
Fe: 0.8795 0.3795 0.1155  9 Fe 2.47-2.75
Fe: 0.2359 0.7359 0.1155  9 Fe 2.47-2.75
Fe: 0.7359 0.8795 0.1155  9 Fe 2.47-2.75
Fe: 0.3795 0.2359 0.1155  9 Fe 2.47-2.75
Fe: 0.2941 0.7941 0.8152  7 Fe 2.54-2.65
Fe: 0.5211 0.0211 0.8152  7 Fe 2.54-2.65
Fe: 0.0211 0.2941 0.8152  7 Fe 2.54-2.65
Fe: 0.7941 0.5211 0.8152  7 Fe 2.54-2.65
Fe: 0.7059 0.2059 0.1848  7 Fe 2.54-2.65
Fe: 0.4789 0.9789 0.1848  7 Fe 2.54-2.65
Fe: 0.9789 0.7059 0.1848  7 Fe 2.54-2.65
Fe: 0.2059 0.4789 0.1848  7 Fe 2.54-2.65
Bi: 0.2500 0.2500 0.5000  10 Pr 3.44-3.51
Bi: 0.7500 0.7500 0.5000  10 Pr 3.44-3.51

Output
**Symmetry**: No. 140
**ΔE_f**: -0.08 eV per atom
**VASP energy**: -7.22 eV/atom
**Total moment**: 1.345 μB/atom

# Ti4FeBi2

A geometry-optimized Ti4FeBi2 structure (PBE-GGA, Materials Project).

a b c (Å): 7.8728 7.8728 7.8728
angles (deg): 95.71 95.71 143.22
Closest atoms and distances in Å follow each position.
Atoms (fractional coordinates):
Ti: 0.5797 0.6909 0.2706  2 Fe 2.51
Ti: 0.9203 0.1909 0.1112  2 Fe 2.51
Ti: 0.3091 0.5797 0.8888  2 Fe 2.51
Ti: 0.8091 0.9203 0.7294  2 Fe 2.51
Ti: 0.6909 0.4203 0.1112  2 Fe 2.51
Ti: 0.0797 0.8091 0.8888  2 Fe 2.51
Ti: 0.4203 0.3091 0.7294  2 Fe 2.51
Ti: 0.1909 0.0797 0.2706  2 Fe 2.51
Fe: 0.7500 0.7500 0.0000  2 Fe 2.48, 8 Ti 2.51
Fe: 0.2500 0.2500 0.0000  2 Fe 2.48, 8 Ti 2.51
Bi: 0.3610 0.8610 0.2219  8 Ti 2.93-3.13
Bi: 0.1390 0.3610 0.5000  8 Ti 2.93-3.13
Bi: 0.6390 0.1390 0.7781  8 Ti 2.93-3.13
Bi: 0.8610 0.6390 0.5000  8 Ti 2.93-3.13

Output
**Symmetry**: No. 140
**ΔE_f**: -0.29 eV per atom
**VASP energy**: -7.12 eV/atom

# ZnFeBi

A geometry-optimized ZnFeBi structure (PBE-GGA, Materials Project).

a b c (Å): 4.6134 4.6134 4.6134
angles (deg): 60.00 60.00 60.00
Closest atoms and distances in Å follow each position.
Atoms (fractional coordinates):
Zn: 0.0000 0.0000 0.0000  4 Bi 2.83
Fe: 0.5000 0.5000 0.5000  4 Bi 2.83
Bi: 0.2500 0.2500 0.2500  4 Fe 2.83, 4 Zn 2.83

Output
**Symmetry**: No. 216
**ΔE_f**: 0.71 eV per atom
**VASP energy**: -3.83 eV/atom
**Total moment**: 0.948 μB/atom

# GaBi

A geometry-optimized GaBi structure (PBE-GGA, Materials Project).

a b c (Å): 4.5679 4.5679 4.5679
angles (deg): 60.00 60.00 60.00
Closest atoms and distances in Å follow each position.
Atoms (fractional coordinates):
Ga: 0.2500 0.2500 0.2500  4 Bi 2.80
Bi: 0.0000 0.0000 0.0000  4 Ga 2.80

Output
**Symmetry**: No. 216
**ΔE_f**: 0.03 eV per atom
**VASP energy**: -3.43 eV/atom

# Ga3Bi

A geometry-optimized Ga3Bi structure (PBE-GGA, Materials Project).

a b c (Å): 4.5308 4.5308 4.5308
angles (deg): 90.00 90.00 90.00
Closest atoms and distances in Å follow each position.
Atoms (fractional coordinates):
Ga: 0.0000 0.5000 0.5000  4 Bi 3.20, 8 Ga 3.20
Ga: 0.5000 0.0000 0.5000  4 Bi 3.20, 8 Ga 3.20
Ga: 0.5000 0.5000 0.0000  4 Bi 3.20, 8 Ga 3.20
Bi: 0.0000 0.0000 0.0000  12 Ga 3.20

Output
**Symmetry**: No. 221
**ΔE_f**: 0.07 eV per atom
**VASP energy**: -3.17 eV/atom
**Total moment**: 0.000 μB/atom

# In9Ga3Bi4S24

A geometry-optimized In9Ga3Bi4S24 structure (PBE-GGA, Materials Project).

a b c (Å): 3.8843 20.4728 12.5990
angles (deg): 83.64 90.00 90.00
Closest atoms and distances in Å follow each position.
Atoms (fractional coordinates):
In: 0.7500 0.1279 0.0960  6 S 2.59-2.75
In: 0.7500 0.6285 0.5962  6 S 2.59-2.75
In: 0.2500 0.3707 0.3979  6 S 2.58-2.74
In: 0.2500 0.8717 0.9041  6 S 2.59-2.74
In: 0.7500 0.0250 0.6176  6 S 2.62-2.75
In: 0.7500 0.5257 0.1174  6 S 2.61-2.75
In: 0.2500 0.4758 0.8854  6 S 2.62-2.75
In: 0.2500 0.9748 0.3824  6 S 2.63-2.75
In: 0.7500 0.4135 0.6764  4 S 2.45-2.55
Ga: 0.7500 0.9167 0.1776  4 S 2.28-2.37
Ga: 0.2500 0.0832 0.8225  4 S 2.28-2.36
Ga: 0.2500 0.5829 0.3225  4 S 2.29-2.37
Bi: 0.7500 0.2045 0.4057  3 S 2.69-2.70
Bi: 0.7500 0.7054 0.9058  3 S 2.69
Bi: 0.2500 0.2945 0.0930  3 S 2.69-2.70
Bi: 0.2500 0.7947 0.5942  3 S 2.67-2.70
S: 0.7500 0.4231 0.0110  3 In 2.61-2.66
S: 0.7500 0.9230 0.5093  3 In 2.62-2.66
S: 0.2500 0.0776 0.4902  3 In 2.63-2.67
S: 0.2500 0.5789 0.9918  3 In 2.62-2.66
S: 0.7500 0.0201 0.2448  1 Ga 2.37
S: 0.7500 0.5244 0.7507  4 In 2.55-2.72
S: 0.2500 0.4805 0.2520  1 Ga 2.37
S: 0.2500 0.9801 0.7551  1 Ga 2.36
S: 0.7500 0.3193 0.2786  1 Bi 2.69, 2 In 2.74
S: 0.7500 0.8215 0.7826  1 Bi 2.69, 2 In 2.74
S: 0.2500 0.1787 0.2178  1 Bi 2.70, 2 In 2.75
S: 0.2500 0.6797 0.7173  1 Bi 2.67, 2 In 2.75
S: 0.7500 0.2424 0.9813  1 In 2.61, 2 Bi 2.69
S: 0.7500 0.7430 0.4807  1 In 2.62, 2 Bi 2.70
S: 0.2500 0.2576 0.5182  1 In 2.62, 2 Bi 2.70
S: 0.2500 0.7569 0.0189  1 In 2.62, 2 Bi 2.69
S: 0.7500 0.1291 0.7379  2 Ga 2.36
S: 0.7500 0.6293 0.2391  2 Ga 2.36
S: 0.2500 0.3653 0.7798  3 In 2.48-2.75
S: 0.2500 0.8709 0.2620  2 Ga 2.36
S: 0.7500 0.4306 0.4809  3 In 2.45-2.58
S: 0.7500 0.9276 0.9954  1 Ga 2.28
S: 0.2500 0.0724 0.0044  1 Ga 2.28
S: 0.2500 0.5721 0.5053  1 Ga 2.29

Output
**Symmetry**: No. 6
**ΔE_f**: -0.82 eV per atom
**VASP energy**: -4.23 eV/atom
**Energy with MP2020 corrections**: -181.46 eV/cell
**Total moment**: 0.000 μB/atom

# In2GaBiS6

A geometry-optimized In2GaBiS6 structure (PBE-GGA, Materials Project).

a b c (Å): 3.8428 11.3822 12.4661
angles (deg): 63.26 90.00 90.00
Closest atoms and distances in Å follow each position.
Atoms (fractional coordinates):
In: 0.2500 0.2577 0.7763  6 S 2.57-2.77
In: 0.7500 0.7423 0.2237  6 S 2.57-2.77
In: 0.7500 0.9489 0.6431  6 S 2.62-2.75
In: 0.2500 0.0511 0.3569  6 S 2.62-2.75
Ga: 0.2500 0.8316 0.9063  4 S 2.27-2.36
Ga: 0.7500 0.1684 0.0937  4 S 2.27-2.36
Bi: 0.7500 0.5899 0.6124  3 S 2.68
Bi: 0.2500 0.4101 0.3876  3 S 2.68
S: 0.7500 0.9619 0.2645  1 Ga 2.36
S: 0.2500 0.8446 0.5677  3 In 2.62-2.64
S: 0.7500 0.3588 0.6033  1 Bi 2.68, 2 In 2.73
S: 0.2500 0.2616 0.1315  2 Ga 2.34
S: 0.7500 0.7384 0.8685  2 Ga 2.34
S: 0.2500 0.0381 0.7355  1 Ga 2.36
S: 0.2500 0.6412 0.3967  1 Bi 2.68, 2 In 2.73
S: 0.7500 0.1429 0.9229  1 Ga 2.27
S: 0.2500 0.8571 0.0771  1 Ga 2.27
S: 0.7500 0.1554 0.4323  3 In 2.62-2.64
S: 0.2500 0.4866 0.7786  1 In 2.62, 2 Bi 2.68
S: 0.7500 0.5134 0.2214  1 In 2.62, 2 Bi 2.68

Output
**Symmetry**: No. 11
**ΔE_f**: -0.83 eV per atom
**VASP energy**: -4.25 eV/atom
**Energy with MP2020 corrections**: -91.08 eV/cell
**Total moment**: 0.000 μB/atom

# Mg6GaBi

A geometry-optimized Mg6GaBi structure (PBE-GGA, Materials Project).

a b c (Å): 5.3062 6.2894 11.1838
angles (deg): 90.00 90.00 90.00
Closest atoms and distances in Å follow each position.
Atoms (fractional coordinates):
Mg: 0.0000 0.2458 0.0818  2 Ga 3.03-3.39, 8 Mg 3.09-3.26, 2 Bi 3.23
Mg: 0.0000 0.7542 0.0818  2 Ga 3.03-3.39, 8 Mg 3.09-3.26, 2 Bi 3.23
Mg: 0.0000 0.0000 0.3317  2 Ga 3.15, 10 Mg 3.19-3.23
Mg: 0.5000 0.7460 0.4125  8 Mg 3.09-3.26, 2 Ga 3.15, 2 Bi 3.19-3.22
Mg: 0.5000 0.2540 0.4125  8 Mg 3.09-3.26, 2 Ga 3.15, 2 Bi 3.19-3.22
Mg: 0.5000 0.0000 0.1679  2 Bi 3.15, 10 Mg 3.17-3.25
Mg: 0.0000 0.7458 0.5818  2 Ga 3.03-3.39, 8 Mg 3.09-3.26, 2 Bi 3.23
Mg: 0.0000 0.2542 0.5818  2 Ga 3.03-3.39, 8 Mg 3.09-3.26, 2 Bi 3.23
Mg: 0.0000 0.5000 0.8317  2 Ga 3.15, 10 Mg 3.19-3.23
Mg: 0.5000 0.2460 0.9125  8 Mg 3.09-3.26, 2 Ga 3.15, 2 Bi 3.19-3.22
Mg: 0.5000 0.7540 0.9125  8 Mg 3.09-3.26, 2 Ga 3.15, 2 Bi 3.19-3.22
Mg: 0.5000 0.5000 0.6679  2 Bi 3.15, 10 Mg 3.17-3.25
Ga: 0.0000 0.5000 0.3488  10 Mg 3.03-3.39, 2 Bi 3.37
Ga: 0.0000 0.0000 0.8488  10 Mg 3.03-3.39, 2 Bi 3.37
Bi: 0.5000 0.5000 0.1629  10 Mg 3.15-3.23, 2 Ga 3.37
Bi: 0.5000 0.0000 0.6629  10 Mg 3.15-3.23, 2 Ga 3.37

Output
**ΔE_f**: -0.04 eV per atom
**VASP energy**: -2.11 eV/atom
**Total moment**: 0.000 μB/atom

# Mg6GaBi

A geometry-optimized Mg6GaBi structure (PBE-GGA, Materials Project).

a b c (Å): 5.2544 6.5677 10.8399
angles (deg): 90.00 90.00 90.00
Closest atoms and distances in Å follow each position.
Atoms (fractional coordinates):
Mg: 0.5000 0.2492 0.5842  2 Ga 3.15-3.19, 2 Bi 3.16-3.18, 8 Mg 3.19-3.29
Mg: 0.5000 0.7508 0.5842  2 Ga 3.15-3.19, 2 Bi 3.16-3.18, 8 Mg 3.19-3.29
Mg: 0.0000 0.2592 0.4167  8 Mg 3.11-3.40, 2 Ga 3.20, 2 Bi 3.26
Mg: 0.0000 0.7408 0.4167  8 Mg 3.11-3.40, 2 Ga 3.20, 2 Bi 3.26
Mg: 0.0000 0.0000 0.6689  10 Mg 3.12-3.28, 2 Ga 3.17
Mg: 0.0000 0.0000 0.1639  10 Mg 3.11-3.28, 2 Bi 3.20
Mg: 0.5000 0.7492 0.0842  2 Ga 3.15-3.19, 2 Bi 3.16-3.18, 8 Mg 3.19-3.29
Mg: 0.5000 0.2508 0.0842  2 Ga 3.15-3.19, 2 Bi 3.16-3.18, 8 Mg 3.19-3.29
Mg: 0.0000 0.7592 0.9167  8 Mg 3.11-3.40, 2 Ga 3.20, 2 Bi 3.26
Mg: 0.0000 0.2408 0.9167  8 Mg 3.11-3.40, 2 Ga 3.20, 2 Bi 3.26
Mg: 0.0000 0.5000 0.1689  10 Mg 3.12-3.28, 2 Ga 3.17
Mg: 0.0000 0.5000 0.6639  10 Mg 3.11-3.28, 2 Bi 3.20
Ga: 0.5000 0.0000 0.8324  10 Mg 3.15-3.20, 2 Bi 3.28
Ga: 0.5000 0.5000 0.3324  10 Mg 3.15-3.20, 2 Bi 3.28
Bi: 0.5000 0.0000 0.3330  10 Mg 3.16-3.26, 2 Ga 3.28
Bi: 0.5000 0.5000 0.8330  10 Mg 3.16-3.26, 2 Ga 3.28

Output
**ΔE_f**: -0.04 eV per atom
**VASP energy**: -2.11 eV/atom
**Total moment**: 0.000 μB/atom

# Ga4BiN3

A geometry-optimized Ga4BiN3 structure (PBE-GGA, Materials Project).

a b c (Å): 3.2607 3.2607 13.6842
angles (deg): 83.16 96.84 120.00
Closest atoms and distances in Å follow each position.
Atoms (fractional coordinates):
Ga: 0.0679 0.9321 0.2036  4 N 1.95-1.99
Ga: 0.7984 0.2016 0.3951  4 N 1.95-1.99
Ga: 0.5300 0.4700 0.5901  1 N 2.00
Ga: 0.3364 0.6636 0.0093  3 N 2.00
Bi: 0.2660 0.7340 0.7980  1 Ga 2.87
N: 0.0199 0.9801 0.0597  4 Ga 1.95-2.00
N: 0.7505 0.2495 0.2515  4 Ga 1.95-1.99
N: 0.4809 0.5191 0.4427  4 Ga 1.99-2.00

Output
**Symmetry**: No. 160
**ΔE_f**: -0.33 eV per atom
**VASP energy**: -5.32 eV/atom
**Energy with MP2020 corrections**: -43.63 eV/cell
**Total moment**: 0.000 μB/atom

# Ga2BiN

A geometry-optimized Ga2BiN structure (PBE-GGA, Materials Project).

a b c (Å): 3.2672 3.2672 8.8067
angles (deg): 79.31 90.00 120.00
Closest atoms and distances in Å follow each position.
Atoms (fractional coordinates):
Ga: 0.9221 0.8442 0.2338  1 N 2.02
Ga: 0.3583 0.7166 0.9251  3 N 1.99
Bi: 0.4691 0.9383 0.5926  1 Ga 2.86
N: 0.0005 0.0010 0.9986  4 Ga 1.99-2.02

Output
**Symmetry**: No. 160
**ΔE_f**: -0.10 eV per atom
**VASP energy**: -4.58 eV/atom
**Energy with MP2020 corrections**: -18.70 eV/cell
**Total moment**: 0.000 μB/atom